Entry 1:
CaFe2O4 | PBE+U | optimized geometry

Geometry as POSCAR:
```
CaFe2O4
1.0
-3.2480 1.7486 3.6831
3.5765 -2.3211 4.2527
5.7031 9.6305 0.4591
Ca Fe O
4 8 16
Cartesian
2.3927 8.1393 4.5555
3.6390 0.9187 3.8394
0.5886 2.7595 3.1499
5.4418 6.2990 5.2435
4.9060 9.7690 3.3414
2.2269 5.2454 3.1257
5.7023 9.6277 0.4618
1.3927 5.3995 6.0395
1.1315 -0.7151 5.0608
-1.4560 0.5888 5.8103
3.8106 3.8087 5.2763
2.8535 4.8171 0.2323
2.9525 3.2469 3.5320
0.5007 0.6737 6.3337
1.1797 4.3924 1.4282
3.7884 5.4524 1.9153
7.2848 7.3521 4.2765
6.5182 7.4808 7.1020
2.2382 3.6091 6.4733
5.4478 4.2502 4.1289
4.8486 4.6620 6.9671
0.5805 4.8099 4.2620
-0.4851 1.5816 1.2939
4.7464 8.6250 4.9962
1.2833 0.4285 3.3977
3.0821 5.8149 4.8619
5.5259 8.3873 2.0553
-1.2564 1.7078 4.1147
```

The value obtained for the energy of formation from the pure elements is -15.24 eV/f.u. The energy relative to the lowest polymorph listed for this composition comes out at 0.0 meV per atom. The space group is Pm, No. 6.

---

Entry 2:
Ca4Fe9O17 | PBE+U | optimized geometry

Geometry as POSCAR:
```
Ca4Fe9O17
1.0
3.6861 -4.5644 -1.6505
5.8111 1.1393 -1.4417
4.5754 -2.0861 10.4231
O Fe Ca
17 9 4
Cartesian
6.3922 -3.7003 -0.1491
3.2482 -2.1643 0.9365
7.5619 -2.8770 2.3870
6.0784 -2.6540 9.6855
6.5288 -2.5857 4.9456
6.2163 -0.0700 0.3996
6.8150 -4.1339 7.3950
10.2232 -4.9605 6.3353
4.7713 -1.6518 -1.5439
4.6584 -3.5162 3.0853
11.2989 -4.3478 3.4533
9.3337 -1.4758 7.0764
8.3243 -4.9205 4.1386
7.9713 -2.9185 -2.3569
9.4566 -2.0582 4.2298
5.6746 -0.6116 3.2051
2.7659 -1.1842 3.8769
2.2618 -0.9107 1.9391
7.5640 -1.3393 3.7173
10.5251 -5.3191 8.3309
4.6334 -1.9067 4.3511
2.8332 -2.1093 -1.0702
11.8128 -4.5954 5.3919
9.4253 -3.6418 2.9784
6.5084 -4.1727 3.6136
5.4744 0.2353 -1.4748
8.6382 -3.2200 0.0508
5.5096 -2.0888 1.1768
8.5676 -3.4103 6.1546
5.4345 -2.2909 7.2801
```

The value obtained for the energy of formation from the pure elements is -63.47 eV/f.u. The calculation puts the size of the total moment at 44.00 Bohr magnetons per cell. The space group is C2, No. 5.

---

Entry 3:
CaFe2O4 | PBE+U | optimized geometry

Geometry as POSCAR:
```
CaFe2O4
1.0
-3.8000 -4.6813 1.5804
1.3659 0.9123 -6.0065
6.0147 -0.4153 1.4105
O Fe Ca
8 4 2
Cartesian
3.4685 -1.7438 -2.6771
1.8299 -0.0129 -1.4155
2.7163 -2.4826 0.2733
0.8643 -1.7016 -3.2890
0.1121 -2.4404 -0.3386
1.1515 -4.5654 0.9404
2.4292 0.3812 -3.9561
1.7508 -4.1715 -1.6000
1.7905 -2.0928 -1.5077
1.1075 -2.5488 1.4955
3.6904 0.2484 -2.2979
2.8964 -4.6396 -0.0126
-0.9243 -2.7783 -3.9076
4.5049 -1.4058 0.8919
```

The value obtained for the energy of formation from the pure elements is -14.94 eV/f.u. The energy relative to the lowest polymorph listed for this composition comes out at 42.2 meV per atom. The calculation puts the size of the total moment at 20.00 Bohr magnetons per cell. The space group is P-1, No. 2.

---

Entry 4:
Ca2Fe3O8 | PBE+U | optimized geometry

Geometry as POSCAR:
```
Ca2Fe3O8
1.0
-0.8162 -6.0033 -0.9029
4.2962 1.3292 7.9595
-4.6778 3.1859 3.8240
O Fe Ca
16 6 4
Cartesian
0.1585 2.0654 7.1772
1.1239 -2.6948 4.8952
-2.7966 -2.2483 5.4802
-0.5667 -0.6227 4.1705
-1.5324 -1.1792 9.6136
1.6896 -3.1749 7.5461
-2.3167 1.2126 5.9794
-1.3394 -3.4179 3.7365
-3.3535 -1.7731 2.8189
-0.7553 1.6041 10.0704
-0.4617 -3.2603 0.7936
-0.6488 -1.0187 6.6681
0.3581 -0.1582 1.2732
-2.9024 1.6882 3.3538
1.5879 0.7598 5.4096
2.1772 0.2783 8.0546
-0.4022 0.6805 5.6518
1.2347 -4.1963 6.0267
-3.2473 -3.2560 3.9595
-5.2772 -1.2445 3.1606
-0.7990 -2.1674 5.2176
4.0784 -0.2508 7.7223
0.6617 -1.3950 8.5568
0.8528 -3.6413 2.6664
-1.8577 -0.0931 2.3259
-2.0519 2.1521 8.2162
```

The value obtained for the energy of formation from the pure elements is -26.13 eV/f.u. The energy relative to the lowest polymorph listed for this composition comes out at 11.9 meV per atom. The calculation puts the size of the total moment at 2.00 Bohr magnetons per cell. The space group is P1, No. 1.

---

Entry 5:
CaFe2O4 | PBE+U | optimized geometry

Geometry as POSCAR:
```
CaFe2O4
1.0
0.2768 -1.3826 6.2206
-4.8050 -2.9436 2.9885
0.5299 -6.0100 2.0695
O Fe Ca
8 4 2
Cartesian
-3.6205 -8.4189 7.0740
-3.4440 -8.9032 9.7150
-3.7340 -6.3443 8.9350
-1.3422 -7.7190 8.5230
-3.8400 -5.2471 5.6151
-1.2058 -6.7611 5.1614
-1.5101 -3.9040 4.2599
-1.3308 -4.4763 7.2110
-2.6567 -5.7873 3.8883
-0.0395 -4.9834 5.5529
-2.7870 -3.4042 6.0261
-0.9666 -2.4988 2.7267
-0.0138 -0.0357 0.0390
-2.4965 -6.4538 7.0422
```

The value obtained for the energy of formation from the pure elements is -14.75 eV/f.u. The energy relative to the lowest polymorph listed for this composition comes out at 70.3 meV per atom. The calculation puts the size of the total moment at 10.00 Bohr magnetons per cell. The space group is R3m, No. 160.

---

Entry 6:
Ca2Fe2O5 | PBE+U | optimized geometry

Geometry as POSCAR:
```
Ca2Fe2O5
1.0
-1.0266 -1.8163 5.1023
1.1128 -5.2774 -1.6548
14.2778 1.8980 3.5484
O Ca Fe
20 8 8
Cartesian
5.1816 0.2099 1.3119
3.9264 -5.2248 2.4992
6.9133 -1.8865 5.3444
7.3673 -0.6971 2.8815
10.1995 -2.1845 6.6385
10.4376 0.0291 4.4967
6.9967 -4.4987 4.1144
1.9333 -2.9266 2.5195
12.2999 -4.9913 6.4587
9.3132 -2.6836 3.7016
13.9785 0.1818 4.5245
5.0508 -2.5121 3.2943
7.4506 -3.3093 1.6515
0.3854 -5.3775 2.4714
0.8394 -4.1881 0.0084
4.1645 -3.0112 0.3574
2.0641 -0.2045 0.5372
12.4307 -2.2692 4.4764
13.5246 -1.0077 6.9875
9.1823 -5.4057 5.6840
9.2356 -4.9710 3.2543
1.0918 -4.0748 4.5365
13.2662 -4.4352 4.2560
1.0978 -0.7605 2.7399
13.2721 -1.1209 2.4594
9.2415 -1.6567 1.4577
5.1284 -0.2247 3.7416
5.1224 -3.5390 5.5382
10.7248 0.9864 2.8287
3.7393 -3.3143 2.2304
7.2252 -6.1446 5.2216
7.1822 -2.5981 3.4979
3.6391 -6.1820 4.1673
10.6247 -1.8815 4.7655
0.0431 -3.5467 1.7240
14.2776 1.8978 3.5484
```

The value obtained for the energy of formation from the pure elements is -22.11 eV/f.u. The energy relative to the lowest polymorph listed for this composition comes out at 0.0 meV per atom. The space group is Pnma, No. 62.

---

Entry 7:
CaFe2O4 | PBE+U | optimized geometry

Geometry as POSCAR:
```
CaFe2O4
1.0
1.5327 -5.0094 0.0000
1.5327 5.0094 0.0000
0.0000 0.0000 10.1369
O Ca Fe
8 2 4
Cartesian
1.5327 2.6916 6.1615
1.5327 2.6916 9.0438
1.5327 4.4059 2.5342
1.5327 0.0000 0.0000
1.5327 0.0000 5.0684
1.5327 -4.4059 7.6027
1.5327 -2.6916 1.0931
1.5327 -2.6916 3.9754
1.5327 -1.0998 7.6027
1.5327 1.0998 2.5342
1.5327 -3.6528 5.7855
1.5327 3.6528 0.7170
1.5327 -3.6528 9.4199
1.5327 3.6528 4.3514
```

The value obtained for the energy of formation from the pure elements is -15.03 eV/f.u. The energy relative to the lowest polymorph listed for this composition comes out at 29.7 meV per atom. The calculation puts the size of the total moment at 20.00 Bohr magnetons per cell. The space group is Cmcm, No. 63.

---

> Look up the energy of formation from the pure elements of the seventh one.

-15.03 eV/f.u.

---

> Among the records above, which one has the highest energy of formation from the pure elements?

number 5

---

> Among the records above, which one has the highest energy of formation from the pure elements?

number 5